Record 1
A geometry-optimized EuNi4B structure, computed with GGA-PBE.

Properties
V, Å³/cell: 154.01
DFT formation energy, eV per atom: -0.3124
Spin magnetization, μB per cell: 13.5

Lattice parameters (Å, degrees): 5.076 5.076 6.905 90.00 90.00 120.00
Element x y z (fractional)
Eu1 0.000 0.000 0.000
Eu2 0.000 0.000 0.500
Ni1 0.000 0.500 0.205
Ni2 0.000 0.500 0.795
Ni3 0.333 0.667 0.500
Ni4 0.500 0.000 0.205
Ni5 0.500 0.000 0.795
Ni6 0.500 0.500 0.205
Ni7 0.500 0.500 0.795
Ni8 0.667 0.333 0.500
B1 0.333 0.667 0.000
B2 0.667 0.333 0.000

***

Record 2
A geometry-optimized EuB2O4 structure, computed with GGA-PBE.

Properties
V, Å³/cell: 352.38
Energy with MP2020 corrections, eV per cell: -259.74
DFT formation energy, eV per atom: -3.0752

Lattice parameters (Å, degrees): 12.107 4.375 6.653 90.00 90.00 90.00
Element x y z (fractional)
Eu1 0.000 0.236 0.250
Eu2 0.000 0.764 0.750
Eu3 0.500 0.264 0.750
Eu4 0.500 0.736 0.250
B1 0.194 0.328 0.624
B2 0.194 0.672 0.124
B3 0.306 0.172 0.124
B4 0.306 0.828 0.624
B5 0.694 0.172 0.376
B6 0.694 0.828 0.876
B7 0.806 0.328 0.876
B8 0.806 0.672 0.376
O1 0.090 0.234 0.593
O2 0.090 0.766 0.093
O3 0.211 0.353 0.145
O4 0.211 0.647 0.645
O5 0.289 0.147 0.645
O6 0.289 0.853 0.145
O7 0.410 0.266 0.093
O8 0.410 0.734 0.593
O9 0.590 0.266 0.407
O10 0.590 0.734 0.907
O11 0.711 0.147 0.855
O12 0.711 0.853 0.355
O13 0.789 0.353 0.355
O14 0.789 0.647 0.855
O15 0.910 0.234 0.907
O16 0.910 0.766 0.407

***

Record 3
A geometry-optimized Eu2B2O5 structure, computed with GGA-PBE.

Properties
V, Å³/cell: 498.51
Energy with MP2020 corrections, eV per cell: -347.83
DFT formation energy, eV per atom: -3.1495

Lattice parameters (Å, degrees): 7.771 5.368 11.967 90.00 92.92 90.00
Element x y z (fractional)
Eu1 0.117 0.051 0.366
Eu2 0.117 0.449 0.866
Eu3 0.377 0.591 0.162
Eu4 0.377 0.909 0.662
Eu5 0.623 0.091 0.338
Eu6 0.623 0.409 0.838
Eu7 0.883 0.551 0.134
Eu8 0.883 0.949 0.634
B1 0.161 0.050 0.084
B2 0.161 0.450 0.584
B3 0.340 0.573 0.406
B4 0.340 0.927 0.906
B5 0.660 0.073 0.094
B6 0.660 0.427 0.594
B7 0.839 0.550 0.416
B8 0.839 0.950 0.916
O1 0.099 0.591 0.669
O2 0.099 0.909 0.169
O3 0.145 0.197 0.571
O4 0.145 0.303 0.071
O5 0.255 0.600 0.507
O6 0.255 0.900 0.007
O7 0.358 0.149 0.851
O8 0.358 0.351 0.351
O9 0.392 0.707 0.860
O10 0.392 0.793 0.360
O11 0.608 0.207 0.640
O12 0.608 0.293 0.140
O13 0.642 0.649 0.649
O14 0.642 0.851 0.149
O15 0.745 0.100 0.993
O16 0.745 0.400 0.493
O17 0.855 0.697 0.929
O18 0.855 0.803 0.429
O19 0.901 0.091 0.831
O20 0.901 0.409 0.331

***

Record 4
A geometry-optimized EuB3O6 structure, computed with GGA-PBE.

Properties
V, Å³/cell: 209.08
Energy with MP2020 corrections, eV per cell: -179.19
DFT formation energy, eV per atom: -2.9615

Lattice parameters (Å, degrees): 6.432 6.432 6.458 117.76 117.76 79.20
Element x y z (fractional)
Eu1 0.205 0.795 0.750
Eu2 0.795 0.205 0.250
B1 0.205 0.340 0.915
B2 0.222 0.778 0.250
B3 0.340 0.205 0.415
B4 0.660 0.795 0.585
B5 0.778 0.222 0.750
B6 0.795 0.660 0.085
O1 0.010 0.780 0.287
O2 0.209 0.384 0.497
O3 0.214 0.583 0.009
O4 0.220 0.990 0.213
O5 0.384 0.209 0.997
O6 0.417 0.786 0.491
O7 0.583 0.214 0.509
O8 0.616 0.791 0.003
O9 0.780 0.010 0.787
O10 0.786 0.417 0.991
O11 0.791 0.616 0.503
O12 0.990 0.220 0.713

***

Record 5
A geometry-optimized Eu3Si2BO10 structure, computed with GGA-PBE.

Properties
V, Å³/cell: 1637.11
Energy with MP2020 corrections, eV per cell: -1193.35
DFT formation energy, eV per atom: -3.2118
Spin magnetization, μB per cell: 144.0

Lattice parameters (Å, degrees): 7.140 23.260 9.857 90.00 90.00 90.00
Element x y z (fractional)
Eu1 0.092 0.182 0.231
Eu2 0.092 0.318 0.731
Eu3 0.138 0.573 0.509
Eu4 0.138 0.927 0.009
Eu5 0.179 0.665 0.865
Eu6 0.179 0.835 0.365
Eu7 0.321 0.165 0.865
Eu8 0.321 0.335 0.365
Eu9 0.362 0.073 0.509
Eu10 0.362 0.427 0.009
Eu11 0.408 0.682 0.231
Eu12 0.408 0.818 0.731
Eu13 0.592 0.182 0.269
Eu14 0.592 0.318 0.769
Eu15 0.638 0.573 0.991
Eu16 0.638 0.927 0.491
Eu17 0.679 0.665 0.635
Eu18 0.679 0.835 0.135
Eu19 0.821 0.165 0.635
Eu20 0.821 0.335 0.135
Eu21 0.862 0.073 0.991
Eu22 0.862 0.427 0.491
Eu23 0.908 0.682 0.269
Eu24 0.908 0.818 0.769
Si1 0.142 0.578 0.123
Si2 0.142 0.922 0.623
Si3 0.186 0.721 0.561
Si4 0.186 0.779 0.061
Si5 0.314 0.221 0.561
Si6 0.314 0.279 0.061
Si7 0.358 0.078 0.123
Si8 0.358 0.422 0.623
Si9 0.642 0.578 0.377
Si10 0.642 0.922 0.877
Si11 0.686 0.721 0.939
Si12 0.686 0.779 0.439
Si13 0.814 0.221 0.939
Si14 0.814 0.279 0.439
Si15 0.858 0.078 0.377
Si16 0.858 0.422 0.877
B1 0.162 0.028 0.755
B2 0.162 0.472 0.255
B3 0.338 0.528 0.755
B4 0.338 0.972 0.255
B5 0.662 0.028 0.745
B6 0.662 0.472 0.245
B7 0.838 0.528 0.745
B8 0.838 0.972 0.245
O1 0.037 0.672 0.609
O2 0.037 0.828 0.109
O3 0.040 0.099 0.463
O4 0.040 0.401 0.963
O5 0.083 0.010 0.873
O6 0.083 0.490 0.373
O7 0.126 0.211 0.654
O8 0.126 0.289 0.154
O9 0.133 0.711 0.098
O10 0.133 0.789 0.598
O11 0.146 0.609 0.274
O12 0.146 0.891 0.774
O13 0.162 0.507 0.138
O14 0.162 0.993 0.638
O15 0.173 0.106 0.048
O16 0.173 0.394 0.548
O17 0.205 0.722 0.394
O18 0.205 0.778 0.894
O19 0.244 0.081 0.740
O20 0.244 0.419 0.240
O21 0.256 0.581 0.740
O22 0.256 0.919 0.240
O23 0.295 0.222 0.394
O24 0.295 0.278 0.894
O25 0.327 0.606 0.048
O26 0.327 0.894 0.548
O27 0.338 0.007 0.138
O28 0.338 0.493 0.638
O29 0.354 0.109 0.274
O30 0.354 0.391 0.774
O31 0.367 0.211 0.098
O32 0.367 0.289 0.598
O33 0.374 0.711 0.654
O34 0.374 0.789 0.154
O35 0.417 0.510 0.873
O36 0.417 0.990 0.373
O37 0.460 0.599 0.463
O38 0.460 0.901 0.963
O39 0.463 0.172 0.609
O40 0.463 0.328 0.109
O41 0.537 0.672 0.891
O42 0.537 0.828 0.391
O43 0.540 0.099 0.037
O44 0.540 0.401 0.537
O45 0.583 0.010 0.627
O46 0.583 0.490 0.127
O47 0.626 0.211 0.846
O48 0.626 0.289 0.346
O49 0.633 0.711 0.402
O50 0.633 0.789 0.902
O51 0.646 0.609 0.226
O52 0.646 0.891 0.726
O53 0.662 0.507 0.362
O54 0.662 0.993 0.862
O55 0.673 0.106 0.452
O56 0.673 0.394 0.952
O57 0.705 0.722 0.106
O58 0.705 0.778 0.606
O59 0.744 0.081 0.760
O60 0.744 0.419 0.260
O61 0.756 0.581 0.760
O62 0.756 0.919 0.260
O63 0.795 0.222 0.106
O64 0.795 0.278 0.606
O65 0.827 0.606 0.452
O66 0.827 0.894 0.952
O67 0.838 0.007 0.362
O68 0.838 0.493 0.862
O69 0.854 0.109 0.226
O70 0.854 0.391 0.726
O71 0.867 0.211 0.402
O72 0.867 0.289 0.902
O73 0.874 0.711 0.846
O74 0.874 0.789 0.346
O75 0.917 0.510 0.627
O76 0.917 0.990 0.127
O77 0.960 0.599 0.037
O78 0.960 0.901 0.537
O79 0.963 0.172 0.891
O80 0.963 0.328 0.391

***

Record 6
A geometry-optimized EuZnB5O10 structure, computed with GGA-PBE.

Properties
V, Å³/cell: 640.37
Energy with MP2020 corrections, eV per cell: -568.21
DFT formation energy, eV per atom: -2.8035
Spin magnetization, μB per cell: 24.0

Lattice parameters (Å, degrees): 8.783 7.674 12.654 90.00 131.34 90.00
Element x y z (fractional)
Eu1 0.050 0.184 0.239
Eu2 0.050 0.316 0.739
Eu3 0.950 0.684 0.261
Eu4 0.950 0.816 0.761
Zn1 0.483 0.589 0.875
Zn2 0.483 0.911 0.375
Zn3 0.517 0.089 0.625
Zn4 0.517 0.411 0.125
B1 0.090 0.675 0.605
B2 0.090 0.825 0.105
B3 0.153 0.600 0.998
B4 0.153 0.900 0.498
B5 0.275 0.031 0.055
B6 0.275 0.469 0.555
B7 0.346 0.577 0.259
B8 0.346 0.923 0.759
B9 0.482 0.186 0.913
B10 0.482 0.314 0.413
B11 0.518 0.686 0.587
B12 0.518 0.814 0.087
B13 0.654 0.077 0.241
B14 0.654 0.423 0.741
B15 0.725 0.531 0.445
B16 0.725 0.969 0.945
B17 0.847 0.100 0.502
B18 0.847 0.400 0.002
B19 0.910 0.175 0.895
B20 0.910 0.325 0.395
O1 0.026 0.726 0.983
O2 0.026 0.774 0.483
O3 0.089 0.106 0.920
O4 0.089 0.394 0.420
O5 0.116 0.550 0.881
O6 0.116 0.950 0.381
O7 0.201 0.710 0.231
O8 0.201 0.790 0.731
O9 0.234 0.530 0.647
O10 0.234 0.970 0.147
O11 0.312 0.534 0.129
O12 0.312 0.966 0.629
O13 0.319 0.087 0.806
O14 0.319 0.413 0.306
O15 0.323 0.625 0.509
O16 0.323 0.875 0.009
O17 0.431 0.154 0.432
O18 0.431 0.346 0.932
O19 0.449 0.150 0.135
O20 0.449 0.350 0.635
O21 0.551 0.650 0.365
O22 0.551 0.850 0.865
O23 0.569 0.654 0.068
O24 0.569 0.846 0.568
O25 0.677 0.125 0.991
O26 0.677 0.375 0.491
O27 0.681 0.587 0.694
O28 0.681 0.913 0.194
O29 0.688 0.034 0.371
O30 0.688 0.466 0.871
O31 0.766 0.030 0.853
O32 0.766 0.470 0.353
O33 0.799 0.210 0.269
O34 0.799 0.290 0.769
O35 0.884 0.050 0.619
O36 0.884 0.450 0.119
O37 0.911 0.606 0.580
O38 0.911 0.894 0.080
O39 0.974 0.226 0.517
O40 0.974 0.274 0.017

***

Record 7
A geometry-optimized Eu4BPd12 structure, computed with GGA-PBE.

Properties
V, Å³/cell: 305.65
DFT formation energy, eV per atom: -0.5726
Spin magnetization, μB per cell: 27.0

Lattice parameters (Å, degrees): 4.286 4.286 16.640 90.00 90.00 90.00
Element x y z (fractional)
Eu1 0.000 0.000 0.125
Eu2 0.000 0.000 0.369
Eu3 0.000 0.000 0.631
Eu4 0.000 0.000 0.875
B1 0.500 0.500 0.500
Pd1 0.000 0.500 0.000
Pd2 0.000 0.500 0.251
Pd3 0.000 0.500 0.500
Pd4 0.000 0.500 0.749
Pd5 0.500 0.000 0.000
Pd6 0.500 0.000 0.251
Pd7 0.500 0.000 0.500
Pd8 0.500 0.000 0.749
Pd9 0.500 0.500 0.125
Pd10 0.500 0.500 0.373
Pd11 0.500 0.500 0.627
Pd12 0.500 0.500 0.875

***

Record 8
A geometry-optimized EuBPd3 structure, computed with GGA-PBE.

Properties
V, Å³/cell: 83.83
DFT formation energy, eV per atom: -0.5081

Lattice parameters (Å, degrees): 4.377 4.377 4.377 90.00 90.00 90.00
Element x y z (fractional)
Eu1 0.000 0.000 0.000
B1 0.500 0.500 0.500
Pd1 0.000 0.500 0.500
Pd2 0.500 0.000 0.500
Pd3 0.500 0.500 0.000

***

> Look up the DFT formation energy of the fourth one.

-2.9615 eV per atom